No. 1
Density functional theory data (PBE) for a relaxed Ir4W crystal. Values from VASP.

Cell and atoms, written as Quantum ESPRESSO input:
```
&SYSTEM
  ibrav = 0, nat = 5, ntyp = 2
/
ATOMIC_SPECIES
Ir 192.22 Ir.upf
W 183.84 W.upf
CELL_PARAMETERS angstrom
1.378 0.795 11.311
-1.378 0.795 11.311
0.000 -1.591 11.311
ATOMIC_POSITIONS crystal
Ir 0.100 0.100 0.100
Ir 0.301 0.301 0.301
Ir 0.699 0.699 0.699
Ir 0.900 0.900 0.900
W 0.500 0.500 0.500
```

Summary:
Space-group type ... R-3m, No. 166
Energy of formation ... -56 meV/atom

No. 2
Density functional theory data (PBE) for a relaxed YIr3 crystal. Values from VASP.

Cell and atoms, written as Quantum ESPRESSO input:
```
&SYSTEM
  ibrav = 0, nat = 12, ntyp = 2
/
ATOMIC_SPECIES
Y 88.91 Y.upf
Ir 192.22 Ir.upf
CELL_PARAMETERS angstrom
2.666 1.539 8.743
-2.666 1.539 8.743
0.000 -3.079 8.743
ATOMIC_POSITIONS crystal
Y 0.000 0.000 0.000
Y 0.140 0.140 0.140
Y 0.860 0.860 0.860
Ir 0.082 0.582 0.582
Ir 0.333 0.333 0.333
Ir 0.418 0.418 0.918
Ir 0.418 0.918 0.418
Ir 0.500 0.500 0.500
Ir 0.582 0.082 0.582
Ir 0.582 0.582 0.082
Ir 0.667 0.667 0.667
Ir 0.918 0.418 0.418
```

Summary:
Space-group type ... R-3m, No. 166
Energy of formation ... -595 meV/atom

No. 3
Density functional theory data (PBE) for a relaxed Y3Ir crystal. Values from VASP.

Cell and atoms, written as Quantum ESPRESSO input:
```
&SYSTEM
  ibrav = 0, nat = 16, ntyp = 2
/
ATOMIC_SPECIES
Y 88.91 Y.upf
Ir 192.22 Ir.upf
CELL_PARAMETERS angstrom
7.286 0.000 0.000
0.000 9.272 0.000
0.000 0.000 6.432
ATOMIC_POSITIONS crystal
Y 0.036 0.250 0.131
Y 0.177 0.063 0.672
Y 0.177 0.437 0.672
Y 0.323 0.563 0.172
Y 0.323 0.937 0.172
Y 0.464 0.750 0.631
Y 0.536 0.250 0.369
Y 0.677 0.063 0.828
Y 0.677 0.437 0.828
Y 0.823 0.563 0.328
Y 0.823 0.937 0.328
Y 0.964 0.750 0.869
Ir 0.117 0.750 0.457
Ir 0.383 0.250 0.957
Ir 0.617 0.750 0.043
Ir 0.883 0.250 0.543
```

Summary:
Space-group type ... Pnma, No. 62
Energy of formation ... -569 meV/atom

No. 4
Density functional theory data (PBE) for a relaxed Y3Ir2 crystal. Values from VASP.

Cell and atoms, written as Quantum ESPRESSO input:
```
&SYSTEM
  ibrav = 0, nat = 70, ntyp = 2
/
ATOMIC_SPECIES
Y 88.91 Y.upf
Ir 192.22 Ir.upf
CELL_PARAMETERS angstrom
-5.651 5.651 12.639
5.651 -5.651 12.639
5.651 5.651 -12.639
ATOMIC_POSITIONS crystal
Y 0.004 0.724 0.871
Y 0.017 0.726 0.131
Y 0.095 0.226 0.709
Y 0.113 0.613 0.500
Y 0.114 0.983 0.709
Y 0.132 0.004 0.279
Y 0.147 0.868 0.871
Y 0.149 0.351 0.500
Y 0.224 0.504 0.871
Y 0.226 0.517 0.131
Y 0.250 0.750 0.500
Y 0.274 0.405 0.291
Y 0.276 0.147 0.279
Y 0.351 0.851 0.201
Y 0.353 0.224 0.721
Y 0.368 0.647 0.871
Y 0.386 0.095 0.869
Y 0.387 0.887 0.500
Y 0.405 0.114 0.131
Y 0.483 0.614 0.709
Y 0.496 0.368 0.721
Y 0.504 0.632 0.279
Y 0.517 0.386 0.291
Y 0.595 0.886 0.869
Y 0.613 0.113 0.500
Y 0.614 0.905 0.131
Y 0.632 0.353 0.129
Y 0.647 0.776 0.279
Y 0.649 0.149 0.799
Y 0.724 0.853 0.721
Y 0.726 0.595 0.709
Y 0.750 0.250 0.500
Y 0.774 0.483 0.869
Y 0.776 0.496 0.129
Y 0.851 0.649 0.500
Y 0.853 0.132 0.129
Y 0.868 0.996 0.721
Y 0.886 0.017 0.291
Y 0.887 0.387 0.500
Y 0.905 0.774 0.291
Y 0.983 0.274 0.869
Y 0.996 0.276 0.129
Ir 0.000 0.000 0.000
Ir 0.035 0.535 0.192
Ir 0.073 0.214 0.500
Ir 0.097 0.597 0.693
Ir 0.134 0.134 0.000
Ir 0.157 0.965 0.500
Ir 0.214 0.714 0.141
Ir 0.250 0.250 0.000
Ir 0.286 0.427 0.500
Ir 0.343 0.843 0.808
Ir 0.366 0.366 0.000
Ir 0.403 0.097 0.500
Ir 0.427 0.927 0.141
Ir 0.465 0.657 0.500
Ir 0.500 0.500 0.000
Ir 0.535 0.343 0.500
Ir 0.573 0.073 0.859
Ir 0.597 0.903 0.500
Ir 0.634 0.634 0.000
Ir 0.657 0.157 0.192
Ir 0.714 0.573 0.500
Ir 0.750 0.750 0.000
Ir 0.786 0.286 0.859
Ir 0.843 0.035 0.500
Ir 0.866 0.866 0.000
Ir 0.903 0.403 0.307
Ir 0.927 0.786 0.500
Ir 0.965 0.465 0.808
```

Summary:
Space-group type ... I4/mcm, No. 140
Energy of formation ... -771 meV/atom

No. 5
Density functional theory data (PBE) for a relaxed ZnIr crystal. Values from VASP.

Cell and atoms, written as Quantum ESPRESSO input:
```
&SYSTEM
  ibrav = 0, nat = 2, ntyp = 2
/
ATOMIC_SPECIES
Zn 65.41 Zn.upf
Ir 192.22 Ir.upf
CELL_PARAMETERS angstrom
2.812 0.000 0.000
-1.406 2.435 0.000
0.000 0.000 4.181
ATOMIC_POSITIONS crystal
Zn 0.000 0.000 0.000
Ir 0.333 0.667 0.500
```

Summary:
Space-group type ... P-6m2, No. 187
Energy of formation ... -194 meV/atom

No. 6
Density functional theory data (PBE) for a relaxed Zn11Ir2 crystal. Values from VASP.

Cell and atoms, written as Quantum ESPRESSO input:
```
&SYSTEM
  ibrav = 0, nat = 26, ntyp = 2
/
ATOMIC_SPECIES
Zn 65.41 Zn.upf
Ir 192.22 Ir.upf
CELL_PARAMETERS angstrom
-4.580 4.580 4.580
4.580 -4.580 4.580
4.580 4.580 -4.580
ATOMIC_POSITIONS crystal
Zn 0.000 0.000 0.790
Zn 0.000 0.264 0.650
Zn 0.000 0.357 0.357
Zn 0.000 0.643 0.643
Zn 0.000 0.650 0.264
Zn 0.000 0.790 0.000
Zn 0.210 0.210 0.210
Zn 0.264 0.000 0.650
Zn 0.264 0.650 0.000
Zn 0.350 0.350 0.614
Zn 0.350 0.614 0.350
Zn 0.357 0.000 0.357
Zn 0.357 0.357 0.000
Zn 0.386 0.736 0.736
Zn 0.614 0.350 0.350
Zn 0.643 0.000 0.643
Zn 0.643 0.643 0.000
Zn 0.650 0.000 0.264
Zn 0.650 0.264 0.000
Zn 0.736 0.386 0.736
Zn 0.736 0.736 0.386
Zn 0.790 0.000 0.000
Ir 0.000 0.000 0.346
Ir 0.000 0.346 0.000
Ir 0.346 0.000 0.000
Ir 0.654 0.654 0.654
```

Summary:
Space-group type ... I-43m, No. 217
Energy of formation ... -208 meV/atom

No. 7
Density functional theory data (PBE) for a relaxed ZrIr2 crystal. Values from VASP.

Cell and atoms, written as Quantum ESPRESSO input:
```
&SYSTEM
  ibrav = 0, nat = 6, ntyp = 2
/
ATOMIC_SPECIES
Zr 91.22 Zr.upf
Ir 192.22 Ir.upf
CELL_PARAMETERS angstrom
0.000 3.719 3.719
3.719 0.000 3.719
3.719 3.719 0.000
ATOMIC_POSITIONS crystal
Zr 0.125 0.125 0.125
Zr 0.875 0.875 0.875
Ir 0.000 0.500 0.500
Ir 0.500 0.000 0.500
Ir 0.500 0.500 0.000
Ir 0.500 0.500 0.500
```

Summary:
Space-group type ... Fd-3m, No. 227
Energy of formation ... -693 meV/atom

No. 8
Density functional theory data (PBE) for a relaxed Zr3Ir crystal. Values from VASP.

Cell and atoms, written as Quantum ESPRESSO input:
```
&SYSTEM
  ibrav = 0, nat = 16, ntyp = 2
/
ATOMIC_SPECIES
Zr 91.22 Zr.upf
Ir 192.22 Ir.upf
CELL_PARAMETERS angstrom
-5.414 5.414 2.864
5.414 -5.414 2.864
5.414 5.414 -2.864
ATOMIC_POSITIONS crystal
Zr 0.000 0.354 0.354
Zr 0.000 0.646 0.646
Zr 0.046 0.458 0.000
Zr 0.142 0.142 0.809
Zr 0.333 0.333 0.191
Zr 0.354 0.000 0.354
Zr 0.458 0.046 0.000
Zr 0.542 0.542 0.588
Zr 0.646 0.000 0.646
Zr 0.667 0.858 0.000
Zr 0.858 0.667 0.000
Zr 0.954 0.954 0.412
Ir 0.208 0.500 0.708
Ir 0.500 0.208 0.708
Ir 0.500 0.792 0.292
Ir 0.792 0.500 0.292
```

Summary:
Space-group type ... I-42m, No. 121
Energy of formation ... -525 meV/atom

No. 9
Density functional theory data (PBE) for a relaxed Zr5Ir3 crystal. Values from VASP.

Cell and atoms, written as Quantum ESPRESSO input:
```
&SYSTEM
  ibrav = 0, nat = 48, ntyp = 2
/
ATOMIC_SPECIES
Zr 91.22 Zr.upf
Ir 192.22 Ir.upf
CELL_PARAMETERS angstrom
7.990 0.000 0.000
-3.995 6.920 0.000
0.000 0.000 17.226
ATOMIC_POSITIONS crystal
Zr 0.000 0.248 0.333
Zr 0.000 0.752 0.833
Zr 0.007 0.238 0.993
Zr 0.007 0.769 0.174
Zr 0.231 0.238 0.507
Zr 0.231 0.993 0.660
Zr 0.238 0.007 0.340
Zr 0.238 0.231 0.826
Zr 0.248 0.000 0.000
Zr 0.248 0.248 0.167
Zr 0.252 0.626 0.583
Zr 0.308 0.654 0.083
Zr 0.346 0.654 0.417
Zr 0.346 0.692 0.750
Zr 0.374 0.626 0.917
Zr 0.374 0.748 0.250
Zr 0.626 0.252 0.750
Zr 0.626 0.374 0.417
Zr 0.654 0.308 0.250
Zr 0.654 0.346 0.917
Zr 0.692 0.346 0.583
Zr 0.748 0.374 0.083
Zr 0.752 0.000 0.500
Zr 0.752 0.752 0.667
Zr 0.762 0.769 0.326
Zr 0.762 0.993 0.840
Zr 0.769 0.007 0.160
Zr 0.769 0.762 0.007
Zr 0.993 0.231 0.674
Zr 0.993 0.762 0.493
Ir 0.000 0.385 0.833
Ir 0.000 0.615 0.333
Ir 0.019 0.413 0.190
Ir 0.019 0.606 0.977
Ir 0.385 0.000 0.500
Ir 0.385 0.385 0.667
Ir 0.394 0.413 0.310
Ir 0.394 0.981 0.857
Ir 0.413 0.019 0.143
Ir 0.413 0.394 0.023
Ir 0.587 0.606 0.523
Ir 0.587 0.981 0.643
Ir 0.606 0.019 0.357
Ir 0.606 0.587 0.810
Ir 0.615 0.000 0.000
Ir 0.615 0.615 0.167
Ir 0.981 0.394 0.477
Ir 0.981 0.587 0.690
```

Summary:
Space-group type ... P6_122, No. 178
Energy of formation ... -742 meV/atom

No. 10
Density functional theory data (PBE) for a relaxed ZrIr crystal. Values from VASP.

Cell and atoms, written as Quantum ESPRESSO input:
```
&SYSTEM
  ibrav = 0, nat = 8, ntyp = 2
/
ATOMIC_SPECIES
Zr 91.22 Zr.upf
Ir 192.22 Ir.upf
CELL_PARAMETERS angstrom
1.720 -9.918 0.000
1.720 9.918 0.000
0.000 0.000 4.381
ATOMIC_POSITIONS crystal
Zr 0.061 0.939 0.750
Zr 0.195 0.805 0.250
Zr 0.805 0.195 0.750
Zr 0.939 0.061 0.250
Ir 0.332 0.668 0.250
Ir 0.443 0.557 0.750
Ir 0.557 0.443 0.250
Ir 0.668 0.332 0.750
```

Summary:
Space-group type ... Cmcm, No. 63
Energy of formation ... -863 meV/atom

No. 11
Density functional theory data (PBE) for a relaxed ZrIr crystal. Values from VASP.

Cell and atoms, written as Quantum ESPRESSO input:
```
&SYSTEM
  ibrav = 0, nat = 2, ntyp = 2
/
ATOMIC_SPECIES
Zr 91.22 Zr.upf
Ir 192.22 Ir.upf
CELL_PARAMETERS angstrom
3.317 0.000 0.000
0.000 3.317 0.000
0.000 0.000 3.317
ATOMIC_POSITIONS crystal
Zr 0.000 0.000 0.000
Ir 0.500 0.500 0.500
```

Summary:
Space-group type ... Pm-3m, No. 221
Energy of formation ... -781 meV/atom

No. 12
Density functional theory data (PBE) for a relaxed ZrIr3 crystal. Values from VASP.

Cell and atoms, written as Quantum ESPRESSO input:
```
&SYSTEM
  ibrav = 0, nat = 4, ntyp = 2
/
ATOMIC_SPECIES
Zr 91.22 Zr.upf
Ir 192.22 Ir.upf
CELL_PARAMETERS angstrom
3.988 0.000 0.000
0.000 3.988 0.000
0.000 0.000 3.988
ATOMIC_POSITIONS crystal
Zr 0.000 0.000 0.000
Ir 0.000 0.500 0.500
Ir 0.500 0.000 0.500
Ir 0.500 0.500 0.000
```

Summary:
Space-group type ... Pm-3m, No. 221
Energy of formation ... -726 meV/atom